{"formula": "Na2CaHf3Si2S4O24", "functional": "GGA-PBE", "state": "optimized geometry", "cell": [[8.968, 0.000, 0.000], [4.474, 7.785, 0.000], [0.123, 0.123, 23.569]], "species": ["Na", "Na", "Na", "Na", "Na", "Na", "Ca", "Ca", "Ca", "Hf", "Hf", "Hf", "Hf", "Hf", "Hf", "Hf", "Hf", "Hf", "Si", "Si", "Si", "Si", "Si", "Si", "S", "S", "S", "S", "S", "S", "S", "S", "S", "S", "S", "S", "O", "O", "O", "O", "O", "O", "O", "O", "O", "O", "O", "O", "O", "O", "O", "O", "O", "O", "O", "O", "O", "O", "O", "O", "O", "O", "O", "O", "O", "O", "O", "O", "O", "O", "O", "O", "O", "O", "O", "O", "O", "O", "O", "O", "O", "O", "O", "O", "O", "O", "O", "O", "O", "O", "O", "O", "O", "O", "O", "O", "O", "O", "O", "O", "O", "O", "O", "O", "O", "O", "O", "O"], "frac_coords": [[0.000, 0.000, 0.000], [0.010, 0.990, 0.500], [0.314, 0.358, 0.172], [0.372, 0.346, 0.664], [0.673, 0.673, 0.827], [0.704, 0.668, 0.337], [0.317, 0.360, 0.312], [0.348, 0.353, 0.806], [0.679, 0.688, 0.983], [0.003, 0.022, 0.353], [0.006, 0.020, 0.147], [0.327, 0.362, 0.018], [0.335, 0.369, 0.519], [0.658, 0.687, 0.682], [0.669, 0.698, 0.483], [0.693, 0.673, 0.185], [0.991, 0.021, 0.640], [0.993, 0.031, 0.847], [0.005, 0.308, 0.247], [0.036, 0.650, 0.414], [0.377, 0.690, 0.581], [0.660, 0.983, 0.582], [0.716, 0.319, 0.744], [0.969, 0.691, 0.080], [0.050, 0.342, 0.914], [0.291, 0.012, 0.746], [0.297, 0.738, 0.246], [0.330, 0.652, 0.915], [0.338, 0.055, 0.416], [0.374, 0.985, 0.082], [0.634, 0.063, 0.914], [0.634, 0.354, 0.415], [0.668, 0.388, 0.083], [0.720, 0.013, 0.247], [0.960, 0.398, 0.581], [0.994, 0.740, 0.747], [0.002, 0.199, 0.192], [0.005, 0.849, 0.093], [0.016, 0.825, 0.696], [0.017, 0.845, 0.408], [0.044, 0.176, 0.911], [0.105, 0.549, 0.356], [0.130, 0.362, 0.863], [0.132, 0.379, 0.574], [0.145, 0.569, 0.751], [0.157, 0.325, 0.966], [0.161, 0.551, 0.470], [0.162, 0.512, 0.073], [0.167, 0.822, 0.912], [0.172, 0.327, 0.243], [0.178, 0.039, 0.409], [0.188, 0.825, 0.195], [0.191, 0.021, 0.696], [0.191, 0.863, 0.590], [0.196, 0.017, 0.091], [0.208, 0.990, 0.800], [0.211, 0.838, 0.298], [0.304, 0.166, 0.750], [0.313, 0.163, 0.466], [0.313, 0.557, 0.967], [0.323, 0.564, 0.248], [0.347, 0.553, 0.864], [0.354, 0.520, 0.575], [0.360, 0.158, 0.074], [0.373, 0.120, 0.364], [0.439, 0.883, 0.030], [0.463, 0.735, 0.238], [0.465, 0.854, 0.744], [0.472, 0.707, 0.525], [0.479, 0.674, 0.922], [0.483, 0.900, 0.132], [0.484, 0.877, 0.424], [0.489, 0.169, 0.572], [0.498, 0.655, 0.637], [0.513, 0.368, 0.076], [0.530, 0.335, 0.743], [0.536, 0.147, 0.864], [0.538, 0.379, 0.363], [0.549, 0.168, 0.966], [0.549, 0.325, 0.466], [0.554, 0.169, 0.249], [0.638, 0.502, 0.132], [0.647, 0.884, 0.639], [0.657, 0.890, 0.918], [0.660, 0.502, 0.425], [0.697, 0.860, 0.528], [0.700, 0.857, 0.240], [0.701, 0.456, 0.031], [0.712, 0.504, 0.743], [0.809, 0.195, 0.411], [0.811, 0.048, 0.910], [0.814, 0.020, 0.195], [0.817, 0.213, 0.092], [0.822, 0.499, 0.241], [0.825, 0.986, 0.298], [0.831, 0.006, 0.588], [0.831, 0.197, 0.692], [0.831, 0.217, 0.803], [0.833, 0.734, 0.744], [0.843, 0.676, 0.425], [0.853, 0.477, 0.531], [0.864, 0.728, 0.023], [0.873, 0.658, 0.136], [0.874, 0.486, 0.920], [0.880, 0.504, 0.633], [0.981, 0.225, 0.588], [0.983, 0.843, 0.799], [0.984, 0.209, 0.303]], "mass_density_g_cm3": 3.60, "space_group": "P1, No. 1", "formation_enthalpy_0k_ev_per_atom": -2.78, "dft_energy_ev_per_atom": -7.343}

=====

{"formula": "Na4CaHfSi2SO12", "functional": "GGA-PBE", "state": "optimized geometry", "cell": [[9.421, 0.000, 0.000], [-4.710, 8.160, -0.076], [0.000, -0.233, 22.785]], "species": ["Na", "Na", "Na", "Na", "Na", "Na", "Na", "Na", "Na", "Na", "Na", "Na", "Na", "Na", "Na", "Na", "Na", "Na", "Na", "Na", "Na", "Na", "Na", "Na", "Ca", "Ca", "Ca", "Ca", "Ca", "Ca", "Hf", "Hf", "Hf", "Hf", "Hf", "Hf", "Si", "Si", "Si", "Si", "Si", "Si", "Si", "Si", "Si", "Si", "Si", "Si", "S", "S", "S", "S", "S", "S", "O", "O", "O", "O", "O", "O", "O", "O", "O", "O", "O", "O", "O", "O", "O", "O", "O", "O", "O", "O", "O", "O", "O", "O", "O", "O", "O", "O", "O", "O", "O", "O", "O", "O", "O", "O", "O", "O", "O", "O", "O", "O", "O", "O", "O", "O", "O", "O", "O", "O", "O", "O", "O", "O", "O", "O", "O", "O", "O", "O", "O", "O", "O", "O", "O", "O", "O", "O", "O", "O", "O", "O"], "frac_coords": [[0.651, 0.028, 0.255], [0.359, 0.345, 0.242], [0.993, 0.622, 0.239], [0.629, 0.622, 0.739], [0.986, 0.345, 0.742], [0.377, 0.028, 0.755], [0.317, 0.361, 0.589], [0.026, 0.679, 0.575], [0.660, 0.956, 0.572], [0.295, 0.956, 0.072], [0.653, 0.679, 0.075], [0.044, 0.361, 0.089], [0.984, 0.694, 0.922], [0.693, 0.012, 0.908], [0.327, 0.289, 0.905], [0.962, 0.289, 0.405], [0.319, 0.012, 0.408], [0.710, 0.694, 0.422], [0.976, 0.981, 0.495], [0.005, 0.981, 0.995], [0.643, 0.315, 0.828], [0.672, 0.315, 0.328], [0.309, 0.648, 0.161], [0.339, 0.648, 0.661], [0.001, 0.001, 0.349], [0.001, 0.001, 0.849], [0.667, 0.335, 0.682], [0.667, 0.335, 0.182], [0.334, 0.668, 0.015], [0.334, 0.668, 0.515], [0.985, 0.008, 0.649], [0.023, 0.008, 0.149], [0.652, 0.341, 0.982], [0.689, 0.341, 0.482], [0.319, 0.675, 0.315], [0.356, 0.675, 0.815], [0.302, 0.997, 0.254], [0.007, 0.303, 0.253], [0.296, 0.303, 0.753], [0.695, 0.997, 0.754], [0.969, 0.330, 0.587], [0.674, 0.636, 0.586], [0.962, 0.636, 0.086], [0.361, 0.330, 0.087], [0.636, 0.664, 0.920], [0.340, 0.969, 0.919], [0.629, 0.969, 0.419], [0.028, 0.664, 0.420], [0.697, 0.708, 0.250], [0.012, 0.708, 0.750], [0.363, 0.042, 0.583], [0.678, 0.042, 0.083], [0.030, 0.375, 0.916], [0.345, 0.375, 0.416], [0.224, 0.021, 0.312], [0.791, 0.782, 0.304], [0.975, 0.199, 0.311], [0.223, 0.199, 0.811], [0.991, 0.782, 0.804], [0.796, 0.021, 0.812], [0.796, 0.973, 0.696], [0.171, 0.196, 0.695], [0.028, 0.812, 0.698], [0.784, 0.812, 0.198], [0.025, 0.196, 0.195], [0.178, 0.973, 0.196], [0.891, 0.354, 0.646], [0.457, 0.115, 0.637], [0.642, 0.532, 0.644], [0.890, 0.532, 0.144], [0.658, 0.115, 0.137], [0.463, 0.354, 0.146], [0.462, 0.307, 0.029], [0.838, 0.530, 0.028], [0.695, 0.145, 0.031], [0.450, 0.145, 0.531], [0.692, 0.530, 0.528], [0.844, 0.307, 0.529], [0.558, 0.688, 0.979], [0.124, 0.448, 0.970], [0.309, 0.866, 0.978], [0.557, 0.866, 0.478], [0.324, 0.448, 0.470], [0.130, 0.688, 0.479], [0.129, 0.640, 0.362], [0.505, 0.863, 0.361], [0.362, 0.479, 0.364], [0.117, 0.479, 0.864], [0.358, 0.863, 0.861], [0.511, 0.640, 0.862], [0.995, 0.816, 0.414], [0.815, 0.003, 0.413], [0.201, 0.208, 0.411], [0.007, 0.208, 0.911], [0.188, 0.003, 0.913], [0.821, 0.816, 0.914], [0.971, 0.152, 0.587], [0.199, 0.030, 0.586], [0.855, 0.813, 0.589], [0.959, 0.813, 0.089], [0.832, 0.030, 0.086], [0.181, 0.152, 0.087], [0.662, 0.149, 0.747], [0.482, 0.337, 0.747], [0.868, 0.541, 0.744], [0.674, 0.541, 0.244], [0.855, 0.337, 0.247], [0.487, 0.149, 0.247], [0.638, 0.485, 0.921], [0.865, 0.364, 0.919], [0.521, 0.147, 0.922], [0.625, 0.147, 0.422], [0.498, 0.364, 0.419], [0.847, 0.485, 0.421], [0.328, 0.482, 0.081], [0.149, 0.670, 0.080], [0.534, 0.874, 0.078], [0.340, 0.874, 0.578], [0.522, 0.670, 0.580], [0.154, 0.482, 0.581], [0.305, 0.819, 0.254], [0.532, 0.697, 0.253], [0.188, 0.480, 0.256], [0.292, 0.480, 0.756], [0.165, 0.697, 0.753], [0.514, 0.819, 0.754]], "mass_density_g_cm3": 3.36, "formation_enthalpy_0k_ev_per_atom": -2.81, "dft_energy_ev_per_atom": -6.780}